(1)
## CaCrN2 (GGA-PBE)

Data for a geometry-optimized CaCrN2 structure.

total DFT energy (no corrections): -31.3 eV per formula unit

Unit cell a=5.4499 b=10.6662 c=14.8678 alpha=90.00 beta=90.00 gamma=90.00
With the nearest neighbours (Å) after each atom.
Space group Pbca (No. 61)
Inequivalent atoms, fractional coordinates:
Ca (0.1086, 0.2199, 0.1901) x8  5 N 2.38-2.64
Ca (0.2286, 0.5058, 0.5672) x8  4 N 2.38-2.51
Cr (0.1538, 0.2292, 0.4375) x8  4 N 1.86-1.90
Cr (0.2237, 0.5129, 0.8114) x8  4 N 1.82-1.87
N (0.0961, 0.5396, 0.2137) x8  2 Cr 1.84-1.87
N (0.1826, 0.7224, 0.0426) x8  2 Cr 1.86-1.87
N (0.1934, 0.5726, 0.4147) x8  2 Cr 1.84-1.90
N (0.2260, 0.1787, 0.8339) x8  2 Cr 1.82-1.87

(2)
## Ca3Cr2N6 (GGA-PBE)

Data for a geometry-optimized Ca3Cr2N6 structure.

total DFT energy (no corrections): -77.2 eV per formula unit

Unit cell a=5.9123 b=4.9069 c=7.3158 alpha=90.00 beta=111.58 gamma=90.00
With the nearest neighbours (Å) after each atom.
Space group Pm (No. 6)
Inequivalent atoms, fractional coordinates:
Ca (0.0000, 0.0000, 0.0000) x1  2 N 2.32-2.53
Ca (0.0307, 0.5000, 0.6475) x1  5 N 2.34-2.49
Ca (0.6793, 0.0000, 0.4347) x1  5 N 2.37-2.53
Cr (0.3096, 0.5000, 0.2500) x1  3 N 1.64-1.73
Cr (0.4116, 0.0000, 0.8367) x1  3 N 1.67-1.73
N (0.1035, 0.0000, 0.6943) x1  1 Cr 1.73
N (0.1064, 0.5000, 0.3546) x1  1 Cr 1.64
N (0.1583, 0.5000, 0.9980) x1  1 Cr 1.73
N (0.5130, 0.0000, 0.0844) x1  1 Cr 1.69
N (0.6084, 0.5000, 0.4134) x1  1 Cr 1.73
N (0.6265, 0.0000, 0.7400) x1  1 Cr 1.67

(3)
## Ca5Cr2N6 (GGA-PBE)

Data for a geometry-optimized Ca5Cr2N6 structure.

maximum piezoelectric response: 1.0 C/m²
total DFT energy (no corrections): -90.1 eV per formula unit

Unit cell a=6.4192 b=5.0087 c=6.8895 alpha=90.00 beta=104.29 gamma=90.00
With the nearest neighbours (Å) after each atom.
Space group Pm (No. 6)
Inequivalent atoms, fractional coordinates:
Ca (0.0000, 0.0000, 0.0000) x1  4 N 2.39-2.56
Ca (0.0828, 0.0000, 0.4953) x1  4 N 2.41-2.52
Ca (0.3171, 0.5000, 0.2937) x1  5 N 2.48-2.62
Ca (0.4070, 0.5000, 0.8319) x1  5 N 2.41-2.62
Ca (0.6082, 0.0000, 0.5676) x1  4 N 2.39-2.55
Cr (0.5030, 0.0000, 0.1054) x1  3 N 1.68-1.79
Cr (0.9156, 0.5000, 0.6922) x1  3 N 1.71-1.74
N (0.0442, 0.5000, 0.9408) x1  1 Cr 1.71
N (0.0942, 0.5000, 0.5402) x1  1 Cr 1.73
N (0.3250, 0.0000, 0.2686) x1  1 Cr 1.79
N (0.4094, 0.0000, 0.8451) x1  1 Cr 1.75
N (0.6369, 0.5000, 0.6029) x1  1 Cr 1.74
N (0.7656, 0.0000, 0.2208) x1  1 Cr 1.68

(4)
## CaCr2S4 (GGA-PBE)

Data for a geometry-optimized CaCr2S4 structure.

ΔE to the lowest computed polymorph: 0.0 meV/atom

Unit cell a=10.5559 b=10.5559 c=10.5559 alpha=90.00 beta=90.00 gamma=90.00
With the nearest neighbours (Å) after each atom.
Space group Fd-3m (No. 227, origin choice 2)
Inequivalent atoms, fractional coordinates:
Ca (0.1250, 0.1250, 0.1250) x8  4 S 2.64
Cr (0.0000, 0.0000, 0.5000) x16  6 S 2.45
S (0.0193, 0.0193, 0.7307) x32  3 Cr 2.45, 1 Ca 2.64

(5)
## CaCr4S8 (GGA-PBE)

Data for a geometry-optimized CaCr4S8 structure.

ΔE to the lowest computed polymorph: 0.0 meV/atom

Unit cell a=6.8735 b=6.8735 c=19.8424 alpha=90.00 beta=90.00 gamma=120.00
With the nearest neighbours (Å) after each atom.
Space group R-3m (No. 166, hexagonal axes)
Inequivalent atoms, fractional coordinates:
Ca (0.0000, 0.0000, 0.0000) x3  6 S 2.82
Cr (0.0000, 0.0000, 0.5000) x3  6 S 2.37
Cr (0.0000, 0.5000, 0.5000) x9  6 S 2.38-2.40
S (0.0000, 0.0000, 0.2326) x6  3 Cr 2.38
S (0.0041, 0.5020, 0.2337) x18  3 Cr 2.37-2.40

(6)
## CaCr2S4 (GGA-PBE)

Data for a geometry-optimized CaCr2S4 structure.

ΔE to the lowest computed polymorph: 12.9 meV/atom

Unit cell a=7.2856 b=7.4577 c=10.2045 alpha=90.00 beta=90.00 gamma=90.00
With the nearest neighbours (Å) after each atom.
Space group Imma (No. 74)
Inequivalent atoms, fractional coordinates:
Ca (0.0000, 0.0000, 0.0000) x4  6 S 2.72-2.77
Cr (0.0000, 0.0000, 0.5000) x4  6 S 2.40-2.46
Cr (0.2500, 0.2500, 0.2500) x4  6 S 2.45
S (0.0000, 0.0303, 0.2655) x8  3 Cr 2.40-2.45
S (0.2187, 0.2500, 0.4886) x8  3 Cr 2.45-2.46

(7)
## CaCr4S8 (GGA-PBE)

Data for a geometry-optimized CaCr4S8 structure.

ΔE to the lowest computed polymorph: 228.8 meV/atom

Unit cell a=7.1954 b=7.1954 c=17.1869 alpha=90.00 beta=90.00 gamma=120.00
With the nearest neighbours (Å) after each atom.
Space group R-3m (No. 166, hexagonal axes)
Inequivalent atoms, fractional coordinates:
Ca (0.0000, 0.0000, 0.0000) x3  6 S 2.69
Cr (0.0000, 0.0000, 0.5000) x3  6 S 2.36
Cr (0.0000, 0.5000, 0.0000) x9  6 S 2.41-2.42
S (0.0000, 0.0000, 0.2623) x6  3 Cr 2.41
S (0.0357, 0.5178, 0.2518) x18  3 Cr 2.36-2.42

(8)
## CaCr2S4 (GGA-PBE)

Data for a geometry-optimized CaCr2S4 structure.

ΔE to the lowest computed polymorph: 1.5 meV/atom

Unit cell a=7.3407 b=7.3407 c=10.9302 alpha=90.00 beta=90.00 gamma=90.00
With the nearest neighbours (Å) after each atom.
Space group I4_1/amd (No. 141, origin choice 2)
Inequivalent atoms, fractional coordinates:
Ca (0.0000, 0.2500, 0.3750) x4  4 S 2.65
Cr (0.0000, 0.0000, 0.0000) x8  6 S 2.45-2.46
S (0.0000, 0.0315, 0.7761) x16  3 Cr 2.45-2.46, 1 Ca 2.65

(9)
## CaCr2S4 (GGA-PBE)

Data for a geometry-optimized CaCr2S4 structure.

ΔE to the lowest computed polymorph: 140.7 meV/atom

Unit cell a=7.3241 b=7.4647 c=10.4054 alpha=90.00 beta=90.00 gamma=90.00
With the nearest neighbours (Å) after each atom.
Space group Imma (No. 74)
Inequivalent atoms, fractional coordinates:
Ca (0.0000, 0.0000, 0.0000) x4  6 S 2.71-2.74
Cr (0.0000, 0.2500, 0.3725) x4  4 S 2.26-2.34
Cr (0.2500, 0.2500, 0.7500) x4  6 S 2.44-2.49
S (0.0000, 0.0246, 0.7368) x8  3 Cr 2.34-2.49
S (0.2325, 0.2500, 0.5160) x8  2 Cr 2.26-2.44

(10)
## Cs3Ca (GGA-PBE)

Data for a geometry-optimized Cs3Ca structure.

total DFT energy (no corrections): -3.8 eV per formula unit

Unit cell a=10.1912 b=10.1912 c=7.9673 alpha=90.00 beta=90.00 gamma=120.00
With the nearest neighbours (Å) after each atom.
Space group P6_3/mmc (No. 194)
Inequivalent atoms, fractional coordinates:
Cs (0.1732, 0.3464, 0.2500) x6  4 Ca 4.88-5.10, 8 Cs 4.90-5.30
Ca (0.3333, 0.6667, 0.7500) x2  12 Cs 4.88-5.10

(11)
## CsCaF3 (GGA-PBE)

Data for a geometry-optimized CsCaF3 structure.

total DFT energy (no corrections): -25.9 eV per formula unit

Unit cell a=4.5819 b=4.5819 c=4.5819 alpha=90.00 beta=90.00 gamma=90.00
With the nearest neighbours (Å) after each atom.
Space group Pm-3m (No. 221)
Inequivalent atoms, fractional coordinates:
Cs (0.0000, 0.0000, 0.0000) x1  12 F 3.24
Ca (0.5000, 0.5000, 0.5000) x1  6 F 2.29
F (0.0000, 0.5000, 0.5000) x3  2 Ca 2.29

(12)
## CsCaH3 (GGA-PBE)

Data for a geometry-optimized CsCaH3 structure.

total DFT energy (no corrections): -15.0 eV per formula unit

Unit cell a=4.6212 b=4.6212 c=4.6212 alpha=90.00 beta=90.00 gamma=90.00
With the nearest neighbours (Å) after each atom.
Space group Pm-3m (No. 221)
Inequivalent atoms, fractional coordinates:
Cs (0.0000, 0.0000, 0.0000) x1  12 H 3.27
Ca (0.5000, 0.5000, 0.5000) x1  6 H 2.31
H (0.0000, 0.5000, 0.5000) x3  2 Ca 2.31

Please write out number 5 again, unchanged.
## CaCr4S8 (GGA-PBE)

Data for a geometry-optimized CaCr4S8 structure.

ΔE to the lowest computed polymorph: 0.0 meV/atom

Unit cell a=6.8735 b=6.8735 c=19.8424 alpha=90.00 beta=90.00 gamma=120.00
With the nearest neighbours (Å) after each atom.
Space group R-3m (No. 166, hexagonal axes)
Inequivalent atoms, fractional coordinates:
Ca (0.0000, 0.0000, 0.0000) x3  6 S 2.82
Cr (0.0000, 0.0000, 0.5000) x3  6 S 2.37
Cr (0.0000, 0.5000, 0.5000) x9  6 S 2.38-2.40
S (0.0000, 0.0000, 0.2326) x6  3 Cr 2.38
S (0.0041, 0.5020, 0.2337) x18  3 Cr 2.37-2.40